[1]
Compound: ZnCuP2O7
Source: Materials Project
Functional: GGA-PBE
Structure: optimized geometry

Calculated values
* total energy after the MP2020 corrections: -6.827 eV per atom
* formation energy from the elements: -2.207 eV per atom
* crystal system: triclinic
* energy relative to the lowest polymorph listed for this composition: 0.0000 eV/atom
* E_tot: -140.6 eV per cell

```
ZnCuP2O7
1.0
5.605 0.000 0.000
-2.118 5.983 0.000
-0.032 -0.871 7.448
Zn Cu P O
2 2 4 14
Direct
0.174 0.176 0.356
0.826 0.824 0.644
0.228 0.640 0.818
0.772 0.360 0.182
0.280 0.716 0.388
0.328 0.171 0.891
0.672 0.829 0.109
0.720 0.284 0.612
0.110 0.471 0.317
0.126 0.870 0.443
0.144 0.926 0.845
0.216 0.336 0.826
0.420 0.221 0.091
0.421 0.820 0.216
0.462 0.710 0.537
0.538 0.290 0.463
0.579 0.180 0.784
0.580 0.779 0.909
0.784 0.664 0.174
0.856 0.074 0.155
0.874 0.130 0.557
0.890 0.529 0.683
```

[2]
Compound: ZnCu2PO9
Source: Materials Project
Functional: GGA-PBE
Structure: optimized geometry

Calculated values
* total energy after the MP2020 corrections: -5.440 eV per atom
* formation energy from the elements: -0.871 eV per atom
* crystal system: monoclinic
* E_tot: -277.1 eV per cell

```
ZnCu2PO9
1.0
7.174 0.000 0.000
0.000 9.795 0.000
-2.342 0.000 9.681
Zn Cu P O
4 8 4 36
Direct
0.089 0.069 0.227
0.089 0.431 0.727
0.911 0.569 0.273
0.911 0.931 0.773
0.454 0.221 0.850
0.454 0.279 0.350
0.494 0.083 0.121
0.494 0.417 0.621
0.506 0.583 0.379
0.506 0.917 0.879
0.546 0.721 0.650
0.546 0.779 0.150
0.075 0.207 0.933
0.075 0.293 0.433
0.925 0.707 0.567
0.925 0.793 0.067
0.000 0.152 0.378
0.000 0.348 0.878
0.000 0.652 0.122
0.000 0.848 0.622
0.013 0.660 0.450
0.013 0.840 0.950
0.041 0.105 0.809
0.041 0.395 0.309
0.301 0.219 0.993
0.301 0.281 0.493
0.345 0.055 0.754
0.345 0.445 0.254
0.347 0.657 0.886
0.347 0.843 0.386
0.360 0.749 0.800
0.360 0.751 0.300
0.371 0.115 0.268
0.371 0.385 0.768
0.391 0.590 0.536
0.391 0.910 0.036
0.609 0.090 0.964
0.609 0.410 0.464
0.629 0.615 0.232
0.629 0.885 0.732
0.640 0.249 0.700
0.640 0.251 0.200
0.653 0.157 0.614
0.653 0.343 0.114
0.655 0.555 0.746
0.655 0.945 0.246
0.699 0.719 0.507
0.699 0.781 0.007
0.959 0.605 0.691
0.959 0.895 0.191
0.987 0.160 0.050
0.987 0.340 0.550
```

[3]
Compound: ZnCuP2O7
Source: Materials Project
Functional: GGA-PBE
Structure: optimized geometry

Calculated values
* total energy after the MP2020 corrections: -6.826 eV per atom
* formation energy from the elements: -2.206 eV per atom
* crystal system: monoclinic
* energy relative to the lowest polymorph listed for this composition: 0.0008 eV/atom
* E_tot: -281.1 eV per cell

```
ZnCuP2O7
1.0
6.991 0.000 0.000
0.000 8.294 0.000
-3.126 0.000 8.802
Zn Cu P O
4 4 8 28
Direct
0.189 0.060 0.314
0.189 0.440 0.814
0.811 0.560 0.186
0.811 0.940 0.686
0.266 0.068 0.890
0.266 0.432 0.390
0.734 0.568 0.610
0.734 0.932 0.110
0.037 0.732 0.974
0.037 0.768 0.474
0.430 0.733 0.254
0.430 0.767 0.754
0.570 0.233 0.246
0.570 0.267 0.746
0.963 0.232 0.526
0.963 0.268 0.026
0.004 0.092 0.637
0.004 0.408 0.137
0.053 0.606 0.396
0.053 0.894 0.896
0.125 0.245 0.447
0.125 0.255 0.947
0.247 0.687 0.101
0.247 0.813 0.601
0.381 0.242 0.296
0.381 0.258 0.796
0.385 0.609 0.815
0.385 0.891 0.315
0.453 0.591 0.364
0.453 0.909 0.864
0.547 0.091 0.136
0.547 0.409 0.636
0.615 0.109 0.685
0.615 0.391 0.185
0.619 0.742 0.204
0.619 0.758 0.704
0.753 0.187 0.399
0.753 0.313 0.899
0.875 0.745 0.053
0.875 0.755 0.553
0.947 0.106 0.104
0.947 0.394 0.604
0.996 0.592 0.863
0.996 0.908 0.363
```